The following is a PBE-GGA calculation of a relaxed NaNbZnSiS2O12 crystal, from the Materials Project database.

Geometry as POSCAR:
```
NaNbZnSiS2O12
1.0
-4.4089 -2.8753 7.0530
8.6858 -1.3189 -0.5165
3.8778 20.0978 10.3587
S O Si Na Zn Nb
12 72 6 6 6 6
Direct
0.3309 0.3747 0.4179
0.9585 0.6273 0.0840
0.2894 0.2871 0.7513
0.3317 0.9528 0.9179
0.6253 0.6691 0.9179
0.9614 0.3379 0.5836
0.0472 0.6683 0.4179
0.2858 0.0003 0.2527
0.6621 0.0386 0.0836
0.3727 0.0415 0.5840
0.9997 0.7142 0.7527
0.7129 0.7106 0.2513
0.5335 0.8479 0.4741
0.8446 0.3010 0.5302
0.1750 0.9708 0.1980
0.5115 0.8682 0.0731
0.4784 0.3099 0.0274
0.6308 0.4982 0.9227
0.4975 0.1327 0.9220
0.3593 0.4878 0.3647
0.9755 0.1821 0.3066
0.1521 0.4665 0.9741
0.1895 0.1566 0.0924
0.8145 0.7869 0.3039
0.6496 0.5067 0.6437
0.7905 0.8198 0.1983
0.5018 0.3692 0.4227
0.6794 0.5330 0.2456
0.2131 0.1855 0.8039
0.6426 0.1549 0.4258
0.3643 0.8719 0.8643
0.3007 0.4682 0.7569
0.8839 0.5211 0.1357
0.4789 0.1161 0.6357
0.5495 0.6973 0.9697
0.1444 0.6822 0.4706
0.8265 0.0207 0.0885
0.6769 0.1728 0.7408
0.0175 0.1774 0.9143
0.9793 0.1735 0.5885
0.8034 0.8087 0.9096
0.4933 0.3504 0.1437
0.4605 0.1461 0.2456
0.1402 0.4992 0.8595
0.0267 0.1976 0.1924
0.5122 0.6407 0.8647
0.4645 0.1561 0.5305
0.6990 0.1554 0.0302
0.2021 0.0413 0.5879
0.0292 0.8250 0.6980
0.8226 0.9825 0.4143
0.1813 0.9756 0.9079
0.8272 0.3231 0.2408
0.1281 0.6357 0.3643
0.8434 0.8105 0.5924
0.1772 0.4894 0.2592
0.3395 0.8643 0.5758
0.8820 0.3555 0.6360
0.5106 0.8228 0.7592
0.4936 0.6458 0.5820
0.3027 0.4505 0.4697
0.3178 0.8556 0.9706
0.2966 0.8316 0.2556
0.5008 0.8598 0.3595
0.8024 0.9733 0.6924
0.9861 0.7994 0.8043
0.9587 0.7979 0.0879
0.2006 0.0139 0.3043
0.8451 0.3574 0.9258
0.8439 0.5355 0.0305
0.5318 0.6993 0.2569
0.1913 0.1966 0.4096
0.1684 0.7034 0.7556
0.6901 0.5216 0.5274
0.0244 0.8187 0.4079
0.8179 0.0245 0.8066
0.1357 0.6605 0.0758
0.6445 0.1180 0.1360
0.3542 0.5064 0.0820
0.4670 0.3206 0.7456
0.8539 0.5395 0.7456
0.1318 0.4885 0.5731
0.8673 0.5025 0.4220
0.1802 0.2095 0.6983
0.9911 0.2976 0.2522
0.0430 0.3687 0.9190
0.6313 0.9570 0.4190
0.7024 0.0089 0.7522
0.3907 0.3474 0.0870
0.6526 0.6093 0.5870
0.6777 0.3278 0.3253
0.6722 0.3223 0.8253
0.3311 0.6507 0.1592
0.3493 0.6689 0.6592
0.9863 0.9952 0.4919
0.0048 0.0137 0.9919
0.6614 0.3282 0.6846
0.9939 0.0221 0.8519
0.6718 0.3386 0.1846
0.3242 0.6395 0.0192
0.9779 0.0061 0.3519
0.3605 0.6758 0.5192
0.3377 0.6724 0.3123
0.3276 0.6623 0.8123
0.0137 0.0229 0.1453
0.6655 0.3323 0.9790
0.6677 0.3345 0.4790
0.9771 0.9863 0.6453
```

Values from the calculation:
Electronic total energy = -6.591 eV/atom
E_form = -2.28 eV per atom



The following is a PBE-GGA calculation of a relaxed SiO2 crystal, from the Materials Project database.

Geometry as POSCAR:
```
SiO2
1.0
4.1141 0.0000 0.0000
0.0000 4.5272 0.0000
0.0000 0.0000 5.0812
O Si
8 4
Direct
0.2309 0.5800 0.8824
0.7309 0.9200 0.3824
0.7691 0.4200 0.1176
0.2691 0.0800 0.6176
0.2309 0.0800 0.1176
0.2691 0.5800 0.3824
0.7691 0.9200 0.8824
0.7309 0.4200 0.6176
0.0000 0.7500 0.1523
0.5000 0.7500 0.6523
0.0000 0.2500 0.8477
0.5000 0.2500 0.3477
```

Values from the calculation:
Electronic total energy = -7.662 eV/atom
E_form = -3.01 eV per atom



The following is a PBE-GGA calculation of a relaxed Mg5Bi crystal, from the Materials Project database.

Geometry as POSCAR:
```
Mg5Bi
1.0
4.8479 -1.1748 3.6010
6.1122 -0.2010 0.6702
2.0114 6.8166 3.1327
Mg Bi
5 1
Direct
0.9973 0.9973 0.9945
0.3342 0.3342 0.3339
0.6684 0.6684 0.6705
0.2814 0.2814 0.9382
0.9419 0.9419 0.6158
0.6102 0.6102 0.2805
```

Values from the calculation:
Electronic total energy = -1.969 eV/atom
E_form = 0.01 eV per atom



The following is a PBE-GGA calculation of a relaxed AsS crystal, from the Materials Project database.

Geometry as POSCAR:
```
AsS
1.0
14.7025 0.0000 0.0000
0.0000 7.1272 0.0000
0.0000 4.3672 9.4250
S As
16 16
Direct
0.9859 0.1097 0.7870
0.5141 0.1097 0.2870
0.9991 0.3788 0.3363
0.7982 0.9340 0.1048
0.7834 0.4212 0.2300
0.7166 0.4212 0.7300
0.4859 0.8903 0.7130
0.2982 0.0660 0.3952
0.0009 0.6212 0.6637
0.7018 0.9340 0.6048
0.2834 0.5788 0.2700
0.2166 0.5788 0.7700
0.0141 0.8903 0.2130
0.4991 0.6212 0.1637
0.2018 0.0660 0.8952
0.5009 0.3788 0.8363
0.4855 0.6516 0.6231
0.3434 0.3158 0.4603
0.1263 0.1528 0.6888
0.0145 0.6516 0.1231
0.5145 0.3484 0.3769
0.8737 0.8472 0.3112
0.1375 0.5581 0.5900
0.6375 0.4419 0.9100
0.1566 0.3158 0.9603
0.3625 0.5581 0.0900
0.9855 0.3484 0.8769
0.6263 0.8472 0.8112
0.8434 0.6842 0.0397
0.6566 0.6842 0.5397
0.8625 0.4419 0.4100
0.3737 0.1528 0.1888
```

Values from the calculation:
Electronic total energy = -4.531 eV/atom
E_form = -0.39 eV per atom